# r²SCAN KNp2F9, optimized geometry
data_KNp2F9
_space_group_name_H-M_alt 'P n m a'
_space_group_IT_number 62
_cell_length_a 8.684
_cell_length_b 11.398
_cell_length_c 6.918
_cell_angle_alpha 90.00
_cell_angle_beta 90.00
_cell_angle_gamma 90.00
loop_
_space_group_symop_operation_xyz
'x,y,z'
'-x,-y,-z'
'-x+1/2,-y,z+1/2'
'x+1/2,y,-z+1/2'
'x+1/2,-y+1/2,-z+1/2'
'-x+1/2,y+1/2,z+1/2'
'-x,y+1/2,-z'
'x,-y+1/2,z'
loop_
_atom_site_label
_atom_site_type_symbol
_atom_site_fract_x
_atom_site_fract_y
_atom_site_fract_z
K1 K 0.032 0.250 0.146
Np1 Np 0.172 0.050 0.658
F1 F 0.007 0.600 0.572
F2 F 0.067 0.576 0.192
F3 F 0.171 0.250 0.656
F4 F 0.209 0.098 0.971
F5 F 0.218 0.608 0.853
# - M_tot (Bohr magnetons per cell) = 24.0
# - energy of formation from the pure elements (meV/atom) = -3909
# - density (g cm⁻³) = 6.64
# - raw total energy (eV for the cell shown) = -988.45

# r²SCAN CrSbSe3, optimized geometry
data_CrSbSe3
_space_group_name_H-M_alt 'P n m a'
_space_group_IT_number 62
_cell_length_a 9.328
_cell_length_b 3.825
_cell_length_c 13.525
_cell_angle_alpha 90.00
_cell_angle_beta 90.00
_cell_angle_gamma 90.00
loop_
_space_group_symop_operation_xyz
'x,y,z'
'-x,-y,-z'
'-x+1/2,-y,z+1/2'
'x+1/2,y,-z+1/2'
'x+1/2,-y+1/2,-z+1/2'
'-x+1/2,y+1/2,z+1/2'
'-x,y+1/2,-z'
'x,-y+1/2,z'
loop_
_atom_site_label
_atom_site_type_symbol
_atom_site_fract_x
_atom_site_fract_y
_atom_site_fract_z
Cr1 Cr 0.156 0.250 0.044
Sb1 Sb 0.031 0.250 0.656
Se1 Se 0.002 0.750 0.107
Se2 Se 0.174 0.250 0.484
Se3 Se 0.213 0.750 0.710
# - M_tot (Bohr magnetons per cell) = 12.0
# - energy of formation from the pure elements (meV/atom) = -577
# - density (g cm⁻³) = 5.65
# - raw total energy (eV for the cell shown) = -346.39

# r²SCAN Ca5TaTi3AlSi5O25, optimized geometry
data_Ca5TaTi3AlSi5O25
_space_group_name_H-M_alt 'P -1'
_space_group_IT_number 2
_cell_length_a 5.435
_cell_length_b 7.045
_cell_length_c 24.912
_cell_angle_alpha 84.72
_cell_angle_beta 86.02
_cell_angle_gamma 76.19
loop_
_space_group_symop_operation_xyz
'x,y,z'
'-x,-y,-z'
loop_
_atom_site_label
_atom_site_type_symbol
_atom_site_fract_x
_atom_site_fract_y
_atom_site_fract_z
Ca1 Ca 0.037 0.313 0.066
Ca2 Ca 0.157 0.111 0.334
Ca3 Ca 0.245 0.691 0.468
Ca4 Ca 0.362 0.488 0.733
Ca5 Ca 0.437 0.118 0.866
Ta1 Ta 0.298 0.101 0.600
Ti1 Ti 0.100 0.200 0.199
Ti2 Ti 0.102 0.698 0.201
Ti3 Ti 0.500 0.000 0.000
Ti4 Ti 0.500 0.500 0.000
Al1 Al 0.301 0.599 0.601
Si1 Si 0.054 0.812 0.064
Si2 Si 0.150 0.579 0.337
Si3 Si 0.249 0.223 0.462
Si4 Si 0.346 0.984 0.737
Si5 Si 0.454 0.613 0.864
O1 O 0.001 0.537 0.786
O2 O 0.003 0.714 0.124
O3 O 0.023 0.634 0.552
O4 O 0.059 0.761 0.377
O5 O 0.070 0.544 0.662
O6 O 0.134 0.855 0.737
O7 O 0.142 0.638 0.023
O8 O 0.182 0.762 0.850
O9 O 0.197 0.123 0.523
O10 O 0.199 0.680 0.276
O11 O 0.200 0.936 0.186
O12 O 0.203 0.857 0.613
O13 O 0.218 0.040 0.950
O14 O 0.259 0.161 0.777
O15 O 0.265 0.945 0.063
O16 O 0.334 0.255 0.137
O17 O 0.341 0.039 0.423
O18 O 0.382 0.165 0.249
O19 O 0.399 0.342 0.587
O20 O 0.401 0.513 0.924
O21 O 0.402 0.264 0.014
O22 O 0.403 0.081 0.676
O23 O 0.421 0.435 0.351
O24 O 0.459 0.560 0.178
O25 O 0.468 0.345 0.462
# - M_tot (Bohr magnetons per cell) = 0.0
# - energy of formation from the pure elements (meV/atom) = -3310
# - density (g cm⁻³) = 3.94
# - raw total energy (eV for the cell shown) = -909.83